(1)
Material: SbPbF7
Method: DFT, PBE-GGA
State: optimized geometry

The value obtained for the energy of formation is -2699 meV/atom.

The structure belongs to space group P-1 (No. 2); the cell edges are 4.843, 7.582 and 7.884 Å and the angles 106.19°, 102.15° and 90.46°. The distinct sites, in fractional coordinates, are Sb at (0.146, 0.315, 0.216), Pb at (0.334, 0.144, 0.695), F at (0.009, 0.545, 0.323), F at (0.082, 0.702, 0.020), F at (0.149, 0.818, 0.731), F at (0.222, 0.933, 0.412), F at (0.294, 0.086, 0.107), F at (0.376, 0.314, 0.448) and F at (0.440, 0.446, 0.163).

***

(2)
Material: Sr5Pb3F
Method: DFT, PBE-GGA
State: optimized geometry

The value obtained for the energy of formation is -1162 meV/atom.

The structure belongs to space group I4/mcm (No. 140); the cell edges are 8.783, 8.783 and 16.130 Å and the angles 90.00°, 90.00° and 90.00°. The distinct sites, in fractional coordinates, are Sr at (0.000, 0.000, 0.000), Sr at (0.160, 0.340, 0.152), Pb at (0.000, 0.000, 0.250), Pb at (0.127, 0.373, 0.500) and F at (0.000, 0.500, 0.250).

***

(3)
Material: SrPbF6
Method: DFT, PBE-GGA
State: optimized geometry

The value obtained for the energy of formation is -2797 meV/atom.

The structure belongs to space group P4_2/mmc (No. 131); the cell edges are 5.457, 5.457 and 8.610 Å and the angles 90.00°, 90.00° and 90.00°. The distinct sites, in fractional coordinates, are Sr at (0.000, 0.000, 0.000), Pb at (0.500, 0.500, 0.250), F at (0.000, 0.500, 0.000), F at (0.230, 0.230, 0.250) and F at (0.500, 0.500, 0.000).

***

(4)
Material: TePbF6
Method: DFT, PBE-GGA
State: optimized geometry

The value obtained for the energy of formation is -2568 meV/atom.

The structure belongs to space group P2_1/c (No. 14); the cell edges are 4.759, 13.067 and 8.692 Å and the angles 90.00°, 103.31° and 90.00°. The distinct sites, in fractional coordinates, are Te at (0.058, 0.223, 0.472), Pb at (0.363, 0.505, 0.692), F at (0.111, 0.672, 0.864), F at (0.193, 0.618, 0.156), F at (0.220, 0.030, 0.916), F at (0.252, 0.187, 0.162), F at (0.297, 0.684, 0.564) and F at (0.326, 0.105, 0.544).

***

(5)
Material: TlPbF7
Method: DFT, PBE-GGA
State: optimized geometry

The value obtained for the energy of formation is -2160 meV/atom.

The structure belongs to space group P2_1/c (No. 14); the cell edges are 9.146, 5.663 and 12.338 Å and the angles 90.00°, 117.25° and 90.00°. The distinct sites, in fractional coordinates, are Tl at (0.181, 0.242, 0.263), Pb at (0.272, 0.743, 0.041), F at (0.016, 0.736, 0.946), F at (0.035, 0.590, 0.732), F at (0.258, 0.541, 0.181), F at (0.272, 0.042, 0.143), F at (0.279, 0.073, 0.451), F at (0.293, 0.548, 0.408) and F at (0.474, 0.226, 0.357).

***

(6)
Material: ZrPb3F10
Method: DFT, PBE-GGA
State: optimized geometry

The value obtained for the energy of formation is -3164 meV/atom.

The structure belongs to space group Cmcm (No. 63); the cell edges are 10.694, 12.963 and 6.112 Å and the angles 90.00°, 90.00° and 90.00°. The distinct sites, in fractional coordinates, are Zr at (0.000, 0.183, 0.250), Pb at (0.000, 0.389, 0.750), Pb at (0.215, 0.106, 0.750), F at (0.000, 0.104, 0.547), F at (0.121, 0.275, 0.040), F at (0.136, 0.500, 0.000) and F at (0.165, 0.089, 0.250).

***

(7)
Material: PdF3
Method: DFT, PBE-GGA
State: optimized geometry

The value obtained for the energy of formation is -1575 meV/atom.

The structure belongs to space group R-3c (No. 167, hexagonal axes); the cell edges are 5.1840, 5.1840 and 14.2614 Å and the angles 90.00°, 90.00° and 120.00°. The distinct sites, in fractional coordinates, are Pd at (0.0000, 0.0000, 0.0000) and F at (0.0000, 0.3580, 0.2500).

***

(8)
Material: PdF3
Method: DFT, PBE-GGA
State: optimized geometry

The value obtained for the energy of formation is -1547 meV/atom.

The structure belongs to space group P321 (No. 150); the cell edges are 5.4091, 5.4091 and 7.2709 Å and the angles 90.00°, 90.00° and 120.00°. The distinct sites, in fractional coordinates, are Pd at (0.0000, 0.0000, 0.0000), Pd at (0.3333, 0.6667, 0.3407), F at (0.0000, 0.6137, 0.5000) and F at (0.0845, 0.3367, 0.1797).

***

(9)
Material: PdPtF6
Method: DFT, PBE-GGA
State: optimized geometry

The value obtained for the energy of formation is -1598 meV/atom.

The structure belongs to space group R-3 (No. 148, hexagonal axes); the cell edges are 5.1893, 5.1893 and 14.4534 Å and the angles 90.00°, 90.00° and 120.00°. The distinct sites, in fractional coordinates, are Pd at (0.0000, 0.0000, 0.0000), Pt at (0.0000, 0.0000, 0.5000) and F at (0.0010, 0.6893, 0.5797).

***

(10)
Material: PdPt3F6
Method: DFT, PBE-GGA
State: optimized geometry

The value obtained for the energy of formation is -821 meV/atom. For the excess energy over the best structure of this formula in the dataset, the calculation gives 0.000 eV per formula unit.

The structure belongs to space group P-1 (No. 2); the cell edges are 5.260, 5.302 and 12.831 Å and the angles 87.27°, 83.87° and 62.34°. The distinct sites, in fractional coordinates, are Pd at (0.000, 0.000, 0.000), Pt at (0.000, 0.000, 0.500), Pt at (0.000, 0.500, 0.000), Pt at (0.500, 0.500, 0.000), F at (0.041, 0.494, 0.849), F at (0.091, 0.928, 0.358) and F at (0.311, 0.826, 0.101).

***

(11)
Material: PdPt3F6
Method: DFT, PBE-GGA
State: optimized geometry

The value obtained for the energy of formation is -817 meV/atom. For the excess energy over the best structure of this formula in the dataset, the calculation gives 0.047 eV per formula unit.

The structure belongs to space group P-1 (No. 2); the cell edges are 5.006, 6.499 and 16.164 Å and the angles 99.56°, 93.09° and 105.94°. The distinct sites, in fractional coordinates, are Pd at (0.000, 0.000, 0.000), Pt at (0.000, 0.000, 0.500), Pt at (0.000, 0.500, 0.000), Pt at (0.500, 0.500, 0.000), F at (0.042, 0.726, 0.927), F at (0.074, 0.056, 0.617) and F at (0.374, 0.173, 0.968).

***

(12)
Material: Rb3PdF5
Method: DFT, PBE-GGA
State: optimized geometry

The value obtained for the energy of formation is -2498 meV/atom.

The structure belongs to space group P4/mbm (No. 127); the cell edges are 7.612, 7.612 and 6.546 Å and the angles 90.00°, 90.00° and 90.00°. The distinct sites, in fractional coordinates, are Rb at (0.000, 0.000, 0.000), Rb at (0.176, 0.324, 0.500), Pd at (0.000, 0.500, 0.000), F at (0.000, 0.000, 0.500) and F at (0.132, 0.632, 0.213).

***

(13)
Material: RbPd2F5
Method: DFT, PBE-GGA
State: optimized geometry

The value obtained for the energy of formation is -1888 meV/atom.

The structure belongs to space group Imma (No. 74); the cell edges are 6.504, 7.788 and 10.917 Å and the angles 90.00°, 90.00° and 90.00°. The distinct sites, in fractional coordinates, are Rb at (0.000, 0.250, 0.106), Pd at (0.000, 0.000, 0.500), Pd at (0.250, 0.250, 0.750), F at (0.000, 0.250, 0.407) and F at (0.240, 0.069, 0.880).

***

(14)
Material: Rb3PdF6
Method: DFT, PBE-GGA
State: optimized geometry

The value obtained for the energy of formation is -2446 meV/atom.

The structure belongs to space group Fm-3m (No. 225); the cell edges are 9.378, 9.378 and 9.378 Å and the angles 90.00°, 90.00° and 90.00°. The distinct sites, in fractional coordinates, are Rb at (0.000, 0.000, 0.000), Rb at (0.250, 0.250, 0.250), Pd at (0.000, 0.000, 0.500) and F at (0.000, 0.000, 0.280).

***

(15)
Material: Rb2TlPdF6
Method: DFT, PBE-GGA
State: optimized geometry

The value obtained for the energy of formation is -2291 meV/atom.

The structure belongs to space group Fm-3m (No. 225); the cell edges are 9.206, 9.206 and 9.206 Å and the angles 90.00°, 90.00° and 90.00°. The distinct sites, in fractional coordinates, are Rb at (0.250, 0.250, 0.250), Tl at (0.000, 0.000, 0.000), Pd at (0.000, 0.000, 0.500) and F at (0.000, 0.000, 0.272).

***

(16)
Material: SrPdF4
Method: DFT, PBE-GGA
State: optimized geometry

The value obtained for the energy of formation is -2864 meV/atom.

The structure belongs to space group I4/mcm (No. 140); the cell edges are 5.930, 5.930 and 10.816 Å and the angles 90.00°, 90.00° and 90.00°. The distinct sites, in fractional coordinates, are Sr at (0.000, 0.000, 0.250), Pd at (0.000, 0.500, 0.000) and F at (0.169, 0.331, 0.132).

***

(17)
Material: ZnPdF6
Method: DFT, PBE-GGA
State: optimized geometry

The value obtained for the energy of formation is -1980 meV/atom.

The structure belongs to space group R-3 (No. 148, hexagonal axes); the cell edges are 5.1107, 5.1107 and 13.8270 Å and the angles 90.00°, 90.00° and 120.00°. The distinct sites, in fractional coordinates, are Zn at (0.0000, 0.0000, 0.0000), Pd at (0.0000, 0.0000, 0.5000) and F at (0.0103, 0.3659, 0.2487).

***

(18)
Material: ZrPd3F6
Method: DFT, PBE-GGA
State: optimized geometry

The value obtained for the energy of formation is -2042 meV/atom.

The structure belongs to space group P-1 (No. 2); the cell edges are 5.263, 6.874 and 8.060 Å and the angles 77.17°, 71.46° and 74.45°. The distinct sites, in fractional coordinates, are Zr at (0.000, 0.000, 0.000), Pd at (0.000, 0.000, 0.500), Pd at (0.000, 0.500, 0.000), Pd at (0.500, 0.500, 0.000), F at (0.002, 0.929, 0.766), F at (0.161, 0.250, 0.857) and F at (0.388, 0.822, 0.982).